Entry from Materials Project: an optimized crystal structure of Li9Mn2Co5O16 (PBE+U).

```
Li9Mn2Co5O16
1.0
-2.2925 -2.7020 3.7448
1.2409 -5.6584 -1.0750
7.8781 -2.4983 6.4731
O Co Mn Li
16 5 2 9
Cartesian
1.1102 -5.9128 0.1980
-0.0998 -3.7761 3.8150
4.7368 -5.6303 3.8093
6.9263 -7.0826 5.3279
2.6390 -4.4474 2.3664
6.3363 -7.7544 8.4060
0.4897 -6.5901 3.2841
4.1319 -2.9469 4.4664
4.1874 -6.4113 6.7764
2.6946 -7.9118 4.6764
4.9439 -9.2261 6.3499
6.3368 -4.2686 5.8588
2.0897 -5.2285 5.3336
5.7162 -4.9460 8.9449
1.8826 -1.6327 2.7930
0.4902 -3.1044 0.7369
4.5595 -4.0784 2.6990
0.9189 -8.2794 4.4878
5.9076 -2.5794 4.6551
6.5833 -5.4468 4.0964
0.2431 -5.4120 5.0465
5.8953 -6.6145 9.9481
0.9311 -4.2442 -0.8052
6.2433 -6.0144 6.9762
2.7153 -6.1923 3.5369
-0.0534 -2.0123 2.6975
0.5832 -4.8444 2.1666
4.1112 -4.6664 5.6060
4.7237 -7.5876 5.0468
6.8799 -8.8464 6.4454
3.9390 -1.2492 3.2366
2.1028 -3.2712 4.0960
```

SG: No. 2
Offset from the most stable computed form (meV per atom): 77
Formation energy (eV per formula unit): -57.20
MP2020-corrected energy (eV per atom): -6.48

Entry from Materials Project: an optimized crystal structure of Li4V3P8O29 (PBE+U).

```
Li4V3P8O29
1.0
-9.4966 0.4990 -2.0715
2.8603 -1.8480 9.1705
0.1624 13.9336 2.6531
O P V Li
58 16 6 8
Cartesian
-1.2324 -0.6538 5.3405
0.1947 4.0200 3.8895
-2.3865 8.9612 3.4528
1.5062 10.2986 8.9014
-0.7541 0.9998 7.2366
-6.7057 9.4177 0.9387
-4.9484 3.9673 3.9857
-4.2031 8.7467 5.3461
-3.4094 2.0146 2.9642
-5.0554 9.2835 7.6629
-0.8984 9.8916 9.6390
-3.0659 10.5917 6.7934
-6.2349 11.0672 4.9333
0.1794 8.2039 7.5715
-6.7130 4.3290 2.2374
0.6137 10.6008 6.3778
-7.0642 1.9721 3.3812
-4.0340 9.4179 1.5610
-5.1498 1.4171 4.9083
0.6005 7.7393 3.3854
-5.0014 11.8260 7.8820
0.2238 3.1090 8.7281
-1.5505 8.6102 5.8044
0.6294 11.3323 11.0405
-6.6513 8.5157 5.8867
-2.5641 1.5191 5.5314
-7.0949 4.8622 6.3549
-8.6621 10.7101 1.8037
-4.5169 4.5728 8.5207
-3.5052 10.3317 9.2963
-5.5618 2.6567 0.0594
-7.9363 2.3086 0.9137
-1.8470 10.6538 1.6856
-4.9975 6.8821 6.8901
-1.3993 3.3145 2.0989
-0.1664 1.5785 4.8332
-4.2967 4.4758 1.5878
1.0718 3.5186 6.3848
-1.2960 5.7305 2.8547
-7.5055 9.0537 3.3319
-1.8122 8.1401 1.1645
-1.2945 11.1225 4.8363
-2.2623 8.1201 8.2266
-4.6545 2.0287 8.1848
-4.1140 3.5777 6.2922
-2.3971 3.1810 8.1269
-5.6603 11.4089 2.4697
2.2404 1.8901 7.9376
-5.3610 6.2830 3.1326
-5.2212 13.2668 4.1382
-7.2938 0.0320 5.0044
0.8269 12.5492 4.7658
-1.4507 0.7676 1.9421
-2.9306 2.2407 0.4840
-3.8446 11.1033 4.1904
-7.2520 1.3350 -1.2907
-2.2844 3.9143 4.3829
-1.3915 6.2885 6.7715
-3.8792 3.4093 7.8357
-4.1584 10.6112 7.9149
-7.0395 2.4637 -0.3592
-5.2183 8.2864 6.4113
-1.2029 7.7303 7.0771
1.4832 3.3249 7.8718
-5.2648 4.8621 2.7172
-1.2367 4.3160 3.3334
0.2502 11.1913 5.0011
-2.5152 9.2020 1.9180
-5.2667 11.7975 3.9666
-6.6915 1.3818 4.7544
-2.2963 1.9745 1.8654
-7.9513 9.2408 1.8819
0.5715 10.1739 10.1247
-1.1549 0.7707 5.7494
-8.1553 3.2984 2.5781
-4.0622 3.7426 -0.2059
1.7217 9.3053 7.1849
-3.7162 2.6311 4.6824
-2.3479 8.8167 9.9752
-2.7433 9.9499 5.0842
0.4742 -0.7186 8.0801
0.0757 0.2934 2.9334
-1.1815 7.2981 4.0318
-3.7237 6.3630 8.3735
-5.3094 5.2878 5.6628
-0.3141 6.8384 1.3342
-7.0231 13.4059 1.6316
-6.5353 12.2858 6.8779
```

SG: No. 1
Offset from the most stable computed form (meV per atom): 8
Formation energy (eV per formula unit): -113.30
MP2020-corrected energy (eV per atom): -7.61

Entry from Materials Project: an optimized crystal structure of FeSiP3O11 (PBE+U).

```
FeSiP3O11
1.0
-5.1253 10.6456 7.6935
-8.8420 3.5453 10.3940
-1.0143 5.4600 12.9594
O Si Fe P
44 4 4 12
Cartesian
-7.7836 9.7602 18.1207
-11.7175 10.4092 15.0727
-7.2748 6.6164 16.5371
-8.6341 9.2978 21.0609
-10.4890 8.3951 16.1038
-11.5547 14.0841 20.4411
-8.2481 11.7243 20.4502
-12.2018 12.3983 17.3769
-4.1655 8.0982 11.7273
-2.9547 6.4232 7.1872
-9.3253 5.9677 15.1217
-6.7370 14.4702 18.7025
-5.2839 8.8760 14.4921
-6.0569 5.2443 9.5409
-5.8181 5.9026 12.3195
-10.8161 11.5527 19.3197
-7.3816 12.0766 16.8486
-9.7109 10.3001 13.0300
-5.6564 13.6831 15.9253
-5.2708 9.3507 18.0170
-8.9248 14.4066 21.5061
-2.8709 3.8096 8.8820
-6.8342 7.6604 19.1690
-6.3476 10.3530 9.9861
0.0000 0.0000 0.0000
-3.4269 5.5668 10.6058
-9.6977 10.7749 16.5548
-6.7335 7.9265 10.5967
-9.5710 15.1454 23.8310
-12.0269 13.2277 23.8597
-7.4908 9.8254 15.5235
-8.1475 11.9905 11.8780
-4.4926 11.2557 14.9432
-7.7069 13.0344 14.5099
-3.2642 9.2416 15.9742
-9.1636 13.7483 18.7275
-7.1981 9.8906 12.9263
-4.5037 7.5358 8.8400
-5.4106 4.5054 7.2160
-8.2446 5.1807 12.3444
-7.6001 7.5743 14.1984
-12.1108 15.8413 22.1650
-2.7798 7.2525 13.6701
-10.4780 12.1151 22.2070
-8.0899 10.6112 16.7650
-0.5991 0.7858 1.2415
-6.8917 9.0396 14.2820
-14.3826 18.8650 29.8055
-12.6124 16.5432 26.1372
-5.1216 6.7178 10.6137
-9.8600 12.9330 20.4333
-2.3692 3.1076 4.9098
-7.3603 9.1252 9.9402
-8.2038 14.7518 18.1508
-12.0441 11.2775 18.4967
-7.6214 10.5256 21.1068
-8.4609 10.5618 12.2264
-7.8717 6.3485 15.1775
-6.5207 9.0891 18.8206
-4.0457 9.8193 14.8269
-7.1099 13.3024 15.8695
-6.7779 4.8990 12.8962
-10.9359 9.8316 16.2201
-2.9376 8.3733 12.5503
```

SG: No. 167
Formation energy (eV per formula unit): -42.17
MP2020-corrected energy (eV per atom): -7.92

Entry from Materials Project: an optimized crystal structure of Li9Mn2Co5O16 (PBE+U).

```
Li9Mn2Co5O16
1.0
5.1365 0.0000 0.0000
-1.6736 7.5347 0.0000
-1.6123 -1.5709 7.4587
O Mn Li Co
16 2 9 5
Cartesian
1.9332 4.8393 3.8182
1.1484 5.2390 6.4837
2.6159 4.6387 1.0020
-0.0826 1.1245 3.6406
2.7502 2.2311 2.7552
1.9413 2.6638 5.5204
-1.6805 4.1501 7.3370
0.7021 0.7247 0.9751
-0.7654 1.3251 6.4568
-1.6826 6.2583 5.5487
3.5331 -0.2945 1.9100
2.7244 -0.0470 4.6669
3.5310 1.8137 0.1217
-0.8997 3.7327 4.7035
-0.0908 3.3000 1.9383
-0.8738 6.0108 2.7919
-2.4396 4.4656 5.6067
4.2902 1.4982 1.8520
0.0952 5.6138 4.6723
0.0897 3.2827 6.5692
0.8736 5.2511 1.8214
0.9769 0.7127 5.6373
2.5682 0.0000 0.0000
1.7553 0.3500 2.7864
1.7608 2.6811 0.8895
0.9253 2.9819 3.7294
-0.8368 3.7673 0.0000
3.4678 1.8427 4.7026
-1.6173 4.1210 2.7561
-1.6072 -0.3515 6.5513
-0.8062 -0.7854 3.7294
3.4577 6.3153 0.9074
```

SG: No. 2
Offset from the most stable computed form (meV per atom): 22
Formation energy (eV per formula unit): -58.94
MP2020-corrected energy (eV per atom): -6.54

The evaluated calculated density for the records listed, in turn: 4.14, 2.52, 2.86, 4.16 g/cm³.